Na6Zn7SnS12O48: optimized geometry, PBE-GGA.

## Properties
- Crystal system: triclinic
- Formation energy from the elements: -1953 meV per atom

Unit cell a=8.7579 b=15.1688 c=22.7015 alpha=90.02 beta=90.02 gamma=90.02
Space group P1 (No. 1)
Unique sites:
Na1 0.0000 0.0000 0.0000 [1 per cell]
Na2 0.0012 0.6636 0.3330 [1 per cell]
Na3 0.1824 0.1813 0.5001 [1 per cell]
Na4 0.3073 0.3513 0.0811 [1 per cell]
Na5 0.3191 0.6802 0.7503 [1 per cell]
Na6 0.3242 0.3538 0.5844 [1 per cell]
Na7 0.3261 0.0092 0.4214 [1 per cell]
Na8 0.3305 0.6776 0.2477 [1 per cell]
Na9 0.3322 0.0169 0.9199 [1 per cell]
Na10 0.6384 0.3343 0.1675 [1 per cell]
Na11 0.6828 0.6806 0.5001 [1 per cell]
Na12 0.8061 0.8454 0.0878 [1 per cell]
Na13 0.8132 0.5056 0.9218 [1 per cell]
Na14 0.8160 0.5003 0.4162 [1 per cell]
Na15 0.8182 0.1818 0.7505 [1 per cell]
Na16 0.8242 0.8545 0.5847 [1 per cell]
Na17 0.8254 0.1792 0.2533 [1 per cell]
Na18 0.9547 0.6801 0.0020 [1 per cell]
Zn1 0.3127 0.3522 0.2372 [1 per cell]
Zn2 0.3155 0.6808 0.5998 [1 per cell]
Zn3 0.3187 0.3476 0.7349 [1 per cell]
Zn4 0.3194 0.6777 0.1005 [1 per cell]
Zn5 0.3225 0.0100 0.5672 [1 per cell]
Zn6 0.3224 0.3479 0.9338 [1 per cell]
Zn7 0.3233 0.6783 0.9018 [1 per cell]
Zn8 0.3255 0.3523 0.4317 [1 per cell]
Zn9 0.3256 0.6789 0.4032 [1 per cell]
Zn10 0.3271 0.0153 0.0671 [1 per cell]
Zn11 0.8065 0.8473 0.9306 [1 per cell]
Zn12 0.8118 0.1834 0.4014 [1 per cell]
Zn13 0.8155 0.1810 0.5988 [1 per cell]
Zn14 0.8146 0.5106 0.2653 [1 per cell]
Zn15 0.8163 0.8449 0.2331 [1 per cell]
Zn16 0.8168 0.1846 0.9018 [1 per cell]
Zn17 0.8176 0.5103 0.0692 [1 per cell]
Zn18 0.8185 0.8544 0.4329 [1 per cell]
Zn19 0.8187 0.8476 0.7341 [1 per cell]
Zn20 0.8229 0.5087 0.5670 [1 per cell]
Zn21 0.8251 0.1823 0.0969 [1 per cell]
Sn1 0.3192 0.0147 0.7667 [1 per cell]
Sn2 0.3203 0.0147 0.2669 [1 per cell]
Sn3 0.8194 0.5135 0.7671 [1 per cell]
S1 0.0222 0.0142 0.1655 [1 per cell]
S2 0.0232 0.6813 0.4996 [1 per cell]
S3 0.0256 0.3468 0.8332 [1 per cell]
S4 0.1132 0.8484 0.3332 [1 per cell]
S5 0.1153 0.1816 0.0000 [1 per cell]
S6 0.1154 0.5143 0.6665 [1 per cell]
S7 0.1702 0.1630 0.6654 [1 per cell]
S8 0.1703 0.1993 0.3337 [1 per cell]
S9 0.1707 0.4959 0.3345 [1 per cell]
S10 0.1709 0.8660 0.6665 [1 per cell]
S11 0.1729 0.5328 0.0002 [1 per cell]
S12 0.1745 0.8282 0.9999 [1 per cell]
S13 0.4645 0.8283 0.5004 [1 per cell]
S14 0.4655 0.4952 0.8328 [1 per cell]
S15 0.4658 0.5325 0.5019 [1 per cell]
S16 0.4662 0.8663 0.1662 [1 per cell]
S17 0.4670 0.1626 0.1662 [1 per cell]
S18 0.4669 0.2007 0.8330 [1 per cell]
S19 0.5223 0.8468 0.8324 [1 per cell]
S20 0.5233 0.1809 0.5006 [1 per cell]
S21 0.5230 0.5153 0.1675 [1 per cell]
S22 0.6133 0.6811 0.0006 [1 per cell]
S23 0.6160 0.0143 0.6664 [1 per cell]
S24 0.6156 0.3468 0.3323 [1 per cell]
S25 0.6694 0.3293 0.0015 [1 per cell]
S26 0.6701 0.3655 0.6664 [1 per cell]
S27 0.6698 0.7007 0.3349 [1 per cell]
S28 0.6713 0.0341 0.0000 [1 per cell]
S29 0.6709 0.6626 0.6655 [1 per cell]
S30 0.6730 0.9951 0.3323 [1 per cell]
S31 0.9640 0.0337 0.5005 [1 per cell]
S32 0.9661 0.3284 0.5001 [1 per cell]
S33 0.9659 0.9958 0.8339 [1 per cell]
S34 0.9676 0.6630 0.1672 [1 per cell]
S35 0.9677 0.7000 0.8337 [1 per cell]
S36 0.9695 0.3658 0.1671 [1 per cell]
O1 0.0013 0.5077 0.3293 [1 per cell]
O2 0.0020 0.5266 0.0058 [1 per cell]
O3 0.0023 0.8375 0.9948 [1 per cell]
O4 0.0029 0.1705 0.6622 [1 per cell]
O5 0.0043 0.1861 0.3381 [1 per cell]
O6 0.0040 0.8591 0.6740 [1 per cell]
O7 0.0166 0.5019 0.6151 [1 per cell]
O8 0.0177 0.1643 0.9479 [1 per cell]
O9 0.0198 0.8362 0.2800 [1 per cell]
O10 0.0206 0.5301 0.7223 [1 per cell]
O11 0.0230 0.8639 0.3868 [1 per cell]
O12 0.0243 0.1935 0.0543 [1 per cell]
O13 0.1122 0.6698 0.4444 [1 per cell]
O14 0.1150 0.3372 0.7790 [1 per cell]
O15 0.1170 0.3621 0.8862 [1 per cell]
O16 0.1178 0.0020 0.1125 [1 per cell]
O17 0.1195 0.6932 0.5520 [1 per cell]
O18 0.1211 0.0293 0.2204 [1 per cell]
O19 0.1336 0.6877 0.8385 [1 per cell]
O20 0.1352 0.0269 0.5058 [1 per cell]
O21 0.1359 0.3548 0.1737 [1 per cell]
O22 0.1361 0.6723 0.1625 [1 per cell]
O23 0.1368 0.3350 0.4946 [1 per cell]
O24 0.1410 0.0036 0.8284 [1 per cell]
O25 0.1953 0.5895 0.9475 [1 per cell]
O26 0.1960 0.1060 0.7203 [1 per cell]
O27 0.1980 0.4426 0.3876 [1 per cell]
O28 0.1985 0.7734 0.0529 [1 per cell]
O29 0.2000 0.9222 0.6152 [1 per cell]
O30 0.2047 0.2505 0.2806 [1 per cell]
O31 0.2087 0.4344 0.6738 [1 per cell]
O32 0.2100 0.0987 0.0055 [1 per cell]
O33 0.2101 0.5945 0.6627 [1 per cell]
O34 0.2108 0.7691 0.3387 [1 per cell]
O35 0.2137 0.2597 0.9937 [1 per cell]
O36 0.2146 0.9300 0.3278 [1 per cell]
O37 0.2360 0.4574 0.2807 [1 per cell]
O38 0.2368 0.1211 0.6127 [1 per cell]
O39 0.2368 0.2349 0.3884 [1 per cell]
O40 0.2373 0.9191 0.0057 [1 per cell]
O41 0.2384 0.5731 0.0537 [1 per cell]
O42 0.2380 0.5869 0.3398 [1 per cell]
O43 0.2381 0.7884 0.9463 [1 per cell]
O44 0.2410 0.4443 0.9936 [1 per cell]
O45 0.2421 0.9055 0.7223 [1 per cell]
O46 0.2436 0.7787 0.6624 [1 per cell]
O47 0.2445 0.2492 0.6735 [1 per cell]
O48 0.2463 0.1072 0.3285 [1 per cell]
O49 0.3913 0.1083 0.8284 [1 per cell]
O50 0.3945 0.7791 0.1623 [1 per cell]
O51 0.3955 0.9060 0.2221 [1 per cell]
O52 0.3969 0.2381 0.8860 [1 per cell]
O53 0.3975 0.4441 0.4956 [1 per cell]
O54 0.3966 0.9170 0.5062 [1 per cell]
O55 0.3981 0.1198 0.1151 [1 per cell]
O56 0.3981 0.2508 0.1734 [1 per cell]
O57 0.3989 0.7883 0.4467 [1 per cell]
O58 0.4001 0.5736 0.5550 [1 per cell]
O59 0.4014 0.5847 0.8381 [1 per cell]
O60 0.4058 0.4549 0.7788 [1 per cell]
O61 0.4201 0.1018 0.5057 [1 per cell]
O62 0.4205 0.2596 0.4955 [1 per cell]
O63 0.4214 0.7701 0.8381 [1 per cell]
O64 0.4232 0.9306 0.8278 [1 per cell]
O65 0.4246 0.5937 0.1616 [1 per cell]
O66 0.4282 0.4327 0.1727 [1 per cell]
O67 0.4362 0.2503 0.7789 [1 per cell]
O68 0.4358 0.9225 0.1150 [1 per cell]
O69 0.4411 0.7724 0.5533 [1 per cell]
O70 0.4440 0.1079 0.2218 [1 per cell]
O71 0.4442 0.5881 0.4486 [1 per cell]
O72 0.4446 0.4419 0.8860 [1 per cell]
O73 0.4969 0.0034 0.3278 [1 per cell]
O74 0.5011 0.3376 0.9954 [1 per cell]
O75 0.5035 0.3587 0.6739 [1 per cell]
O76 0.5035 0.6705 0.6625 [1 per cell]
O77 0.5026 0.6908 0.3403 [1 per cell]
O78 0.5042 0.0229 0.0061 [1 per cell]
O79 0.5169 0.0012 0.6151 [1 per cell]
O80 0.5185 0.3587 0.3850 [1 per cell]
O81 0.5203 0.6947 0.0539 [1 per cell]
O82 0.5215 0.0296 0.7223 [1 per cell]
O83 0.5227 0.6696 0.9466 [1 per cell]
O84 0.5251 0.3348 0.2772 [1 per cell]
O85 0.6117 0.8638 0.8861 [1 per cell]
O86 0.6154 0.1675 0.4473 [1 per cell]
O87 0.6151 0.1934 0.5545 [1 per cell]
O88 0.6151 0.8371 0.7790 [1 per cell]
O89 0.6160 0.5277 0.2211 [1 per cell]
O90 0.6188 0.4990 0.1147 [1 per cell]
O91 0.6328 0.1874 0.8385 [1 per cell]
O92 0.6330 0.8604 0.1734 [1 per cell]
O93 0.6352 0.1721 0.1621 [1 per cell]
O94 0.6354 0.8349 0.4950 [1 per cell]
O95 0.6367 0.5262 0.5072 [1 per cell]
O96 0.6413 0.5041 0.8281 [1 per cell]
O97 0.6919 0.9420 0.3860 [1 per cell]
O98 0.6950 0.2781 0.0570 [1 per cell]
O99 0.6976 0.6061 0.7203 [1 per cell]
O100 0.6992 0.4219 0.6151 [1 per cell]
O101 0.6996 0.0863 0.9465 [1 per cell]
O102 0.7002 0.7552 0.2824 [1 per cell]
O103 0.7096 0.9341 0.6737 [1 per cell]
O104 0.7109 0.0941 0.6625 [1 per cell]
O105 0.7129 0.2668 0.3379 [1 per cell]
O106 0.7128 0.4272 0.3283 [1 per cell]
O107 0.7160 0.6027 0.0058 [1 per cell]
O108 0.7173 0.7605 0.9957 [1 per cell]
O109 0.7333 0.9539 0.2789 [1 per cell]
O110 0.7371 0.0841 0.3380 [1 per cell]
O111 0.7370 0.6211 0.6126 [1 per cell]
O112 0.7378 0.2867 0.9493 [1 per cell]
O113 0.7404 0.7398 0.3892 [1 per cell]
O114 0.7414 0.4178 0.0061 [1 per cell]
O115 0.7417 0.4049 0.7222 [1 per cell]
O116 0.7426 0.0734 0.0533 [1 per cell]
O117 0.7432 0.2783 0.6622 [1 per cell]
O118 0.7451 0.7493 0.6734 [1 per cell]
O119 0.7461 0.6127 0.3291 [1 per cell]
O120 0.7476 0.9451 0.9949 [1 per cell]
O121 0.8917 0.2773 0.1616 [1 per cell]
O122 0.8916 0.6087 0.8284 [1 per cell]
O123 0.8949 0.7519 0.1718 [1 per cell]
O124 0.8964 0.4054 0.2197 [1 per cell]
O125 0.8974 0.4170 0.5061 [1 per cell]
O126 0.8965 0.9445 0.4946 [1 per cell]
O127 0.8995 0.0734 0.5544 [1 per cell]
O128 0.9014 0.0848 0.8388 [1 per cell]
O129 0.9006 0.2881 0.4467 [1 per cell]
O130 0.9007 0.7362 0.8885 [1 per cell]
O131 0.9030 0.6219 0.1131 [1 per cell]
O132 0.9042 0.9527 0.7812 [1 per cell]
O133 0.9214 0.6022 0.5049 [1 per cell]
O134 0.9206 0.7603 0.4955 [1 per cell]
O135 0.9225 0.2702 0.8384 [1 per cell]
O136 0.9249 0.4307 0.8287 [1 per cell]
O137 0.9276 0.0942 0.1624 [1 per cell]
O138 0.9299 0.9341 0.1736 [1 per cell]
O139 0.9338 0.7523 0.7810 [1 per cell]
O140 0.9377 0.6107 0.2216 [1 per cell]
O141 0.9397 0.0895 0.4477 [1 per cell]
O142 0.9424 0.4185 0.1134 [1 per cell]
O143 0.9427 0.2727 0.5533 [1 per cell]
O144 0.9462 0.9438 0.8887 [1 per cell]

=====

Na3TaZn5S9O36: optimized geometry, PBE-GGA.

## Properties
- Crystal system: trigonal
- Formation energy from the elements: -2011 meV per atom

Unit cell a=8.7485 b=8.7485 c=22.7552 alpha=90.00 beta=90.00 gamma=120.00
Space group P3c1 (No. 158)
Unique sites:
Na1 0.0000 0.0000 0.0000 [2 per cell]
Na2 0.3333 0.6667 0.1527 [2 per cell]
Na3 0.6667 0.3333 0.3291 [2 per cell]
Ta1 0.3333 0.6667 0.3100 [2 per cell]
Zn1 0.0000 0.0000 0.1428 [2 per cell]
Zn2 0.0000 0.0000 0.3454 [2 per cell]
Zn3 0.3333 0.6667 0.0162 [2 per cell]
Zn4 0.6667 0.3333 0.1730 [2 per cell]
Zn5 0.6667 0.3333 0.4840 [2 per cell]
S1 0.0396 0.3720 0.4138 [6 per cell]
S2 0.2952 0.0052 0.7467 [6 per cell]
S3 0.3700 0.0375 0.0791 [6 per cell]
O1 0.0244 0.1983 0.4049 [6 per cell]
O2 0.0356 0.2216 0.6941 [6 per cell]
O3 0.1388 0.4887 0.3586 [6 per cell]
O4 0.1413 0.4932 0.0744 [6 per cell]
O5 0.1476 0.4568 0.4654 [6 per cell]
O6 0.1635 0.4775 0.7560 [6 per cell]
O7 0.1915 0.0197 0.0840 [6 per cell]
O8 0.2156 0.0265 0.8007 [6 per cell]
O9 0.4510 0.1429 0.0249 [6 per cell]
O10 0.4754 0.1179 0.1331 [6 per cell]
O11 0.4761 0.1540 0.7408 [6 per cell]
O12 0.4970 0.1320 0.4134 [6 per cell]

=====

NaTaZn3S6O24: optimized geometry, PBE-GGA.

## Properties
- Crystal system: trigonal
- Formation energy from the elements: -2011 meV per atom

Unit cell a=8.7331 b=8.7331 c=22.6731 alpha=90.00 beta=90.00 gamma=120.00
Space group P3 (No. 143)
Unique sites:
Na1 0.0000 0.0000 0.0000 [1 per cell]
Na2 0.0000 0.0000 0.4898 [1 per cell]
Na3 0.3333 0.6667 0.1671 [1 per cell]
Ta1 0.3333 0.6667 0.8117 [1 per cell]
Ta2 0.6667 0.3333 0.1876 [1 per cell]
Ta3 0.6667 0.3333 0.6786 [1 per cell]
Zn1 0.0000 0.0000 0.1494 [1 per cell]
Zn2 0.0000 0.0000 0.3532 [1 per cell]
Zn3 0.0000 0.0000 0.6438 [1 per cell]
Zn4 0.0000 0.0000 0.8476 [1 per cell]
Zn5 0.3333 0.6667 0.0192 [1 per cell]
Zn6 0.3333 0.6667 0.3233 [1 per cell]
Zn7 0.3333 0.6667 0.5077 [1 per cell]
Zn8 0.6667 0.3333 0.4674 [1 per cell]
Zn9 0.6667 0.3333 0.9777 [1 per cell]
S1 0.0078 0.7135 0.2464 [3 per cell]
S2 0.0406 0.3715 0.4146 [3 per cell]
S3 0.0416 0.6685 0.9158 [3 per cell]
S4 0.2916 0.0019 0.7474 [3 per cell]
S5 0.3707 0.3327 0.5774 [3 per cell]
S6 0.3748 0.0432 0.0796 [3 per cell]
O1 0.0229 0.1930 0.4091 [3 per cell]
O2 0.0268 0.8274 0.9057 [3 per cell]
O3 0.0309 0.8141 0.1916 [3 per cell]
O4 0.0380 0.2208 0.6951 [3 per cell]
O5 0.1183 0.4763 0.3604 [3 per cell]
O6 0.1310 0.4963 0.0783 [3 per cell]
O7 0.1308 0.6357 0.5777 [3 per cell]
O8 0.1399 0.6495 0.8604 [3 per cell]
O9 0.1503 0.4486 0.4685 [3 per cell]
O10 0.1551 0.6794 0.2520 [3 per cell]
O11 0.1546 0.6987 0.9670 [3 per cell]
O12 0.1572 0.4742 0.7588 [3 per cell]
O13 0.1988 0.0252 0.0872 [3 per cell]
O14 0.1992 0.1727 0.5894 [3 per cell]
O15 0.2190 0.1839 0.2981 [3 per cell]
O16 0.2196 0.0356 0.8008 [3 per cell]
O17 0.4554 0.1484 0.0262 [3 per cell]
O18 0.4579 0.3024 0.5285 [3 per cell]
O19 0.4730 0.3119 0.2345 [3 per cell]
O20 0.4742 0.1556 0.7378 [3 per cell]
O21 0.4894 0.1335 0.4212 [3 per cell]
O22 0.4896 0.1370 0.1333 [3 per cell]
O23 0.4901 0.3509 0.6351 [3 per cell]
O24 0.4945 0.3662 0.9171 [3 per cell]

=====

| no. | final energy (eV per cell) |
| --- | --- |
| 1 | -1258.36 |
| 2 | -642.67 |
| 3 | -643.28 |